! GGA+U CoH20S2N2O14, relaxed; values from VASP
! Formation enthalpy at 0 K, meV/atom: -1244
! VASP energy, eV/atom: -5.293
&SYSTEM
  ibrav = 0, nat = 78, ntyp = 5
/
ATOMIC_SPECIES
Co 58.93 Co.upf
O 16.00 O.upf
H 1.01 H.upf
S 32.06 S.upf
N 14.01 N.upf
ATOMIC_POSITIONS crystal
Co 0.5000 0.0000 0.5000
Co 0.0000 0.0000 0.0000
O 0.4331 0.3789 0.7776
O 0.4229 0.2115 0.0499
O 0.4311 0.3020 0.4982
O 0.7709 0.5914 0.5896
O 0.6110 0.1657 0.3315
O 0.1773 0.0472 0.3839
O 0.7291 0.5914 0.0896
O 0.6773 0.9528 0.1161
O 0.2291 0.4086 0.4104
O 0.3890 0.8343 0.6685
O 0.9229 0.7885 0.4501
O 0.9311 0.6980 0.0018
O 0.8227 0.9528 0.6161
O 0.0689 0.3020 0.9982
O 0.5669 0.6211 0.2224
O 0.8884 0.0378 0.1619
O 0.9331 0.6211 0.7224
O 0.0669 0.3789 0.2776
O 0.1116 0.9622 0.8381
O 0.0771 0.2115 0.5499
O 0.3884 0.9622 0.3381
O 0.8890 0.1657 0.8315
O 0.1110 0.8343 0.1685
O 0.3227 0.0472 0.8839
O 0.5771 0.7885 0.9501
O 0.5689 0.6980 0.5018
O 0.6116 0.0378 0.6619
O 0.2709 0.4086 0.9104
H 0.0598 0.3396 0.0935
H 0.8146 0.0055 0.1392
H 0.9012 0.9470 0.2686
H 0.3146 0.9945 0.3608
H 0.4280 0.6311 0.1706
H 0.9280 0.3689 0.3294
H 0.5930 0.3243 0.2831
H 0.5988 0.9470 0.7686
H 0.1626 0.5291 0.5732
H 0.3341 0.7981 0.0625
H 0.0930 0.6757 0.2169
H 0.3750 0.9041 0.7486
H 0.1854 0.9945 0.8608
H 0.6659 0.2019 0.9375
H 0.2010 0.5980 0.7266
H 0.6626 0.4709 0.9268
H 0.3374 0.5291 0.0732
H 0.4070 0.6757 0.7169
H 0.5598 0.6604 0.4065
H 0.7990 0.4020 0.2734
H 0.8341 0.2019 0.4375
H 0.5720 0.3689 0.8294
H 0.9070 0.3243 0.7831
H 0.1250 0.9041 0.2486
H 0.0988 0.0530 0.7314
H 0.8374 0.4709 0.4268
H 0.8547 0.6762 0.0273
H 0.8750 0.0959 0.7514
H 0.1453 0.3238 0.9727
H 0.6453 0.6762 0.5273
H 0.1659 0.7981 0.5625
H 0.6250 0.0959 0.2514
H 0.7010 0.4020 0.7734
H 0.3547 0.3238 0.4727
H 0.4402 0.3396 0.5935
H 0.2990 0.5980 0.2266
H 0.4012 0.0530 0.2314
H 0.6854 0.0055 0.6392
H 0.0720 0.6311 0.6706
H 0.9402 0.6604 0.9065
S 0.8626 0.7413 0.5928
S 0.6374 0.7413 0.0928
S 0.3626 0.2587 0.9072
S 0.1374 0.2587 0.4072
N 0.1506 0.6396 0.6342
N 0.8494 0.3604 0.3658
N 0.6506 0.3604 0.8658
N 0.3494 0.6396 0.1342
CELL_PARAMETERS angstrom
-5.2919 -1.6548 11.3533
1.0575 -6.2079 -0.4119
8.3644 -1.6674 3.6557

---

! GGA+U KNi3P3O11, relaxed; values from VASP
! Formation enthalpy at 0 K, meV/atom: -2280
! VASP energy, eV/atom: -6.388
&SYSTEM
  ibrav = 0, nat = 72, ntyp = 4
/
ATOMIC_SPECIES
O 16.00 O.upf
Ni 58.69 Ni.upf
P 30.97 P.upf
K 39.10 K.upf
ATOMIC_POSITIONS crystal
O 0.5204 0.3722 0.9190
O 0.7637 0.2280 0.5632
O 0.5244 0.4582 0.3590
O 0.7755 0.9022 0.7856
O 0.0000 0.8902 0.9348
O 0.9915 0.2508 0.2508
O 0.2245 0.0978 0.2144
O 0.4781 0.7405 0.8011
O 0.0244 0.5418 0.1410
O 0.0085 0.7492 0.7492
O 0.2363 0.7720 0.4368
O 0.9796 0.3722 0.4190
O 0.4915 0.7492 0.2492
O 0.2637 0.7720 0.9368
O 0.2813 0.5867 0.2662
O 0.5000 0.8902 0.4348
O 0.5219 0.2595 0.1989
O 0.9960 0.0815 0.5846
O 0.7363 0.2280 0.0632
O 0.0040 0.9185 0.4154
O 0.4960 0.9185 0.9154
O 0.0000 0.1098 0.0652
O 0.2708 0.9480 0.5841
O 0.5040 0.0815 0.0846
O 0.0204 0.6278 0.5810
O 0.5000 0.1098 0.5652
O 0.0219 0.7405 0.3011
O 0.7813 0.4133 0.2338
O 0.7715 0.7673 0.0761
O 0.7285 0.7673 0.5761
O 0.4796 0.6278 0.0810
O 0.2187 0.5867 0.7662
O 0.5085 0.2508 0.7508
O 0.7245 0.9022 0.2856
O 0.7708 0.0520 0.9159
O 0.2715 0.2327 0.4239
O 0.7187 0.4133 0.7338
O 0.4756 0.5418 0.6410
O 0.2292 0.9480 0.0841
O 0.9756 0.4582 0.8590
O 0.2755 0.0978 0.7144
O 0.7292 0.0520 0.4159
O 0.9781 0.2595 0.6989
O 0.2285 0.2327 0.9239
Ni 0.6314 0.0850 0.7359
Ni 0.8679 0.9045 0.6035
Ni 0.3718 0.7371 0.6251
Ni 0.3686 0.9150 0.2641
Ni 0.8718 0.2629 0.8749
Ni 0.6321 0.9045 0.1035
Ni 0.1282 0.7371 0.1251
Ni 0.1314 0.9150 0.7641
Ni 0.1321 0.0955 0.3965
Ni 0.8686 0.0850 0.2359
Ni 0.3679 0.0955 0.8965
Ni 0.6282 0.2629 0.3749
P 0.3376 0.1030 0.5689
P 0.9255 0.2289 0.5768
P 0.8376 0.8970 0.9311
P 0.0594 0.5996 0.7517
P 0.5745 0.2289 0.0768
P 0.1624 0.1030 0.0689
P 0.5594 0.4004 0.7483
P 0.0745 0.7711 0.4232
P 0.9406 0.4004 0.2483
P 0.4255 0.7711 0.9232
P 0.4406 0.5996 0.2517
P 0.6624 0.8970 0.4311
K 0.2354 0.4171 0.5810
K 0.7646 0.5829 0.4190
K 0.7354 0.5829 0.9190
K 0.2646 0.4171 0.0810
CELL_PARAMETERS angstrom
9.4950 0.0000 0.0000
0.0000 9.9881 0.0000
0.0000 5.0986 8.8318

---

! GGA+U NaTbEuWO6, relaxed; values from VASP
! Formation enthalpy at 0 K, meV/atom: -2871
! VASP energy, eV/atom: -7.901
&SYSTEM
  ibrav = 0, nat = 10, ntyp = 5
/
ATOMIC_SPECIES
O 16.00 O.upf
Tb 158.93 Tb.upf
Eu 151.96 Eu.upf
W 183.84 W.upf
Na 22.99 Na.upf
ATOMIC_POSITIONS crystal
O 0.7334 0.2666 0.2666
O 0.2666 0.7334 0.7334
O 0.7334 0.7334 0.2666
O 0.2666 0.7334 0.2666
O 0.7334 0.2666 0.7334
O 0.2666 0.2666 0.7334
Tb 0.0000 0.0000 0.0000
Eu 0.7500 0.7500 0.7500
W 0.5000 0.5000 0.5000
Na 0.2500 0.2500 0.2500
CELL_PARAMETERS angstrom
-5.3342 -2.2096 -1.2183
-3.1007 -2.7204 4.2196
-4.8309 2.5565 2.2242

---

! GGA+U K2MoCl5O, relaxed; values from VASP
! Formation enthalpy at 0 K, meV/atom: -1508
! VASP energy, eV/atom: -4.104
&SYSTEM
  ibrav = 0, nat = 36, ntyp = 4
/
ATOMIC_SPECIES
O 16.00 O.upf
K 39.10 K.upf
Cl 35.45 Cl.upf
Mo 95.94 Mo.upf
ATOMIC_POSITIONS crystal
O 0.0338 0.2500 0.9996
O 0.4662 0.2500 0.4996
O 0.9662 0.7500 0.0004
O 0.5338 0.7500 0.5004
K 0.1777 0.0022 0.6445
K 0.8223 0.5022 0.3555
K 0.1777 0.4978 0.6445
K 0.3223 0.0022 0.1445
K 0.8223 0.9978 0.3555
K 0.6777 0.9978 0.8555
K 0.6777 0.5022 0.8555
K 0.3223 0.4978 0.1445
Cl 0.0637 0.7500 0.2199
Cl 0.2031 0.4910 0.8903
Cl 0.5937 0.7500 0.2456
Cl 0.9363 0.2500 0.7801
Cl 0.2031 0.0090 0.8903
Cl 0.7969 0.9910 0.1097
Cl 0.2969 0.4910 0.3903
Cl 0.4719 0.2500 0.9976
Cl 0.4063 0.2500 0.7544
Cl 0.5281 0.7500 0.0024
Cl 0.5637 0.2500 0.2801
Cl 0.0937 0.2500 0.2544
Cl 0.7031 0.5090 0.6097
Cl 0.7969 0.5090 0.1097
Cl 0.2969 0.0090 0.3903
Cl 0.4363 0.7500 0.7199
Cl 0.9719 0.7500 0.5024
Cl 0.7031 0.9910 0.6097
Cl 0.0281 0.2500 0.4976
Cl 0.9063 0.7500 0.7456
Mo 0.3174 0.2500 0.4029
Mo 0.6826 0.7500 0.5971
Mo 0.8174 0.7500 0.0971
Mo 0.1826 0.2500 0.9029
CELL_PARAMETERS angstrom
-5.4029 -4.1426 -2.1170
6.4959 -7.3048 -2.2842
-1.1600 -5.0430 12.8287